{
  "formula": "Na4ZnGaP3O12",
  "functional": "PBE-GGA",
  "state": "optimized geometry",
  "lattice_angstrom": [[-2.843, -5.527, 6.492], [-0.337, -2.613, -8.593], [19.852, -8.198, 1.715]],
  "species": ["O", "Na", "P", "O", "O", "Zn", "Na", "Na", "P", "Na", "O", "P", "O", "O", "O", "P", "Na", "O", "O", "O", "O", "O", "O", "Na", "O", "P", "O", "O", "O", "P", "O", "O", "P", "O", "O", "O", "P", "O", "Zn", "Zn", "Ga", "O", "O", "O", "Ga", "O", "Na", "P", "O", "O", "O", "O", "Na", "Na", "O", "O", "O", "Na", "Ga", "O", "O", "Ga", "Na", "O", "O", "O", "P", "P", "O", "Na", "P", "Zn", "Na", "O", "Ga", "O", "O", "O", "O", "O", "Na", "P", "Na", "O", "Zn", "P", "P", "O", "O", "O", "Na", "P", "Na", "Na", "O", "O", "O", "Zn", "P", "O", "O", "O", "O", "P", "O", "O", "O", "O", "Na", "O", "O", "O", "Na", "Na", "Na", "O", "O", "O", "O", "Na", "Na", "Ga", "O", "O", "O", "O"],
  "fractional_positions": [[0.809, 0.817, 0.913], [0.333, 0.667, 0.664], [0.007, 0.707, 0.751], [0.845, 0.301, 0.526], [0.803, 0.017, 0.811], [0.000, 0.000, 0.347], [0.305, 0.963, 0.081], [0.371, 0.362, 0.247], [0.033, 0.659, 0.418], [0.324, 0.296, 0.914], [0.547, 0.863, 0.477], [0.293, 0.301, 0.751], [0.519, 0.824, 0.753], [0.142, 0.659, 0.080], [0.178, 0.967, 0.193], [0.341, 0.373, 0.418], [0.638, 0.629, 0.747], [0.547, 0.684, 0.977], [0.183, 0.191, 0.413], [0.510, 0.362, 0.420], [0.675, 0.150, 0.747], [0.178, 0.211, 0.693], [0.176, 0.481, 0.253], [0.305, 0.342, 0.581], [0.142, 0.484, 0.580], [0.674, 0.040, 0.085], [0.470, 0.350, 0.144], [0.852, 0.362, 0.920], [0.475, 0.150, 0.247], [0.674, 0.634, 0.585], [0.185, 0.157, 0.087], [0.316, 0.453, 0.477], [0.960, 0.326, 0.585], [0.185, 0.028, 0.587], [0.972, 0.815, 0.087], [0.850, 0.525, 0.747], [0.007, 0.301, 0.251], [0.519, 0.695, 0.253], [0.333, 0.667, 0.513], [0.000, 0.000, 0.847], [0.333, 0.667, 0.817], [0.305, 0.481, 0.753], [0.456, 0.301, 0.026], [0.511, 0.634, 0.860], [0.000, 0.000, 0.650], [0.305, 0.824, 0.253], [0.991, 0.362, 0.747], [0.293, 0.993, 0.251], [0.176, 0.695, 0.753], [0.850, 0.325, 0.247], [0.852, 0.490, 0.420], [0.843, 0.815, 0.587], [0.324, 0.028, 0.414], [0.037, 0.695, 0.581], [0.675, 0.525, 0.247], [0.789, 0.967, 0.693], [0.809, 0.992, 0.413], [0.638, 0.009, 0.247], [0.667, 0.333, 0.484], [0.008, 0.817, 0.413], [0.008, 0.191, 0.913], [0.667, 0.333, 0.984], [0.658, 0.695, 0.081], [0.983, 0.786, 0.811], [0.880, 0.530, 0.144], [0.699, 0.544, 0.526], [0.366, 0.326, 0.085], [0.627, 0.967, 0.418], [0.789, 0.822, 0.193], [0.704, 0.676, 0.414], [0.341, 0.967, 0.918], [0.667, 0.333, 0.180], [0.667, 0.333, 0.330], [0.880, 0.350, 0.644], [0.333, 0.667, 0.317], [0.123, 0.489, 0.860], [0.137, 0.684, 0.477], [0.470, 0.120, 0.644], [0.845, 0.544, 0.026], [0.516, 0.858, 0.080], [0.972, 0.676, 0.914], [0.960, 0.634, 0.085], [0.000, 0.000, 0.497], [0.650, 0.120, 0.144], [0.333, 0.667, 0.013], [0.033, 0.373, 0.918], [0.699, 0.993, 0.751], [0.456, 0.155, 0.526], [0.638, 0.490, 0.920], [0.316, 0.863, 0.977], [0.704, 0.028, 0.914], [0.699, 0.707, 0.251], [0.333, 0.667, 0.164], [0.658, 0.963, 0.581], [0.033, 0.211, 0.193], [0.183, 0.992, 0.913], [0.123, 0.634, 0.360], [0.667, 0.333, 0.680], [0.627, 0.659, 0.918], [0.214, 0.197, 0.811], [0.475, 0.325, 0.747], [0.214, 0.017, 0.311], [0.137, 0.453, 0.977], [0.366, 0.040, 0.585], [0.843, 0.028, 0.087], [0.341, 0.484, 0.080], [0.972, 0.157, 0.587], [0.516, 0.659, 0.580], [0.991, 0.629, 0.247], [0.638, 0.148, 0.420], [0.650, 0.530, 0.644], [0.699, 0.155, 0.026], [0.371, 0.009, 0.747], [0.972, 0.296, 0.414], [0.000, 0.000, 0.997], [0.341, 0.858, 0.580], [0.510, 0.148, 0.920], [0.033, 0.822, 0.693], [0.803, 0.786, 0.311], [0.667, 0.333, 0.830], [0.037, 0.342, 0.081], [0.000, 0.000, 0.150], [0.983, 0.197, 0.311], [0.511, 0.877, 0.360], [0.366, 0.489, 0.360], [0.366, 0.877, 0.860]],
  "total_energy_ev_per_fu": -129.616,
  "ef_mev_per_atom": -2508
}